(1)
CrH10SO9 after structural relaxation, computed with PBE with a Hubbard U.

a b c (Å): 6.088 6.277 11.068
angles (deg): 77.08 82.18 71.37
Fractional positions:
Cr: 0.000 0.000 0.000
Cr: 0.000 0.500 0.500
H: 0.076 0.184 0.701
H: 0.111 0.313 0.104
H: 0.168 0.632 0.883
H: 0.234 0.784 0.516
H: 0.256 0.608 0.646
H: 0.313 0.903 0.304
H: 0.319 0.100 0.369
H: 0.331 0.152 0.628
H: 0.349 0.180 0.872
H: 0.441 0.900 0.889
H: 0.559 0.100 0.111
H: 0.651 0.820 0.128
H: 0.669 0.848 0.372
H: 0.681 0.900 0.631
H: 0.687 0.097 0.696
H: 0.744 0.392 0.354
H: 0.766 0.216 0.484
H: 0.832 0.368 0.117
H: 0.889 0.687 0.896
H: 0.924 0.816 0.299
S: 0.371 0.511 0.214
S: 0.629 0.489 0.786
O: 0.021 0.737 0.912
O: 0.154 0.687 0.577
O: 0.160 0.198 0.619
O: 0.200 0.745 0.187
O: 0.307 0.036 0.901
O: 0.324 0.400 0.345
O: 0.357 0.367 0.127
O: 0.369 0.931 0.376
O: 0.388 0.463 0.800
O: 0.612 0.537 0.200
O: 0.631 0.069 0.624
O: 0.643 0.633 0.873
O: 0.676 0.600 0.655
O: 0.693 0.964 0.099
O: 0.800 0.255 0.813
O: 0.840 0.802 0.381
O: 0.846 0.313 0.423
O: 0.979 0.263 0.088

Summary:
E_tot, Ry per atom: -0.402
Formation energy from the elements, eV per atom: -1.473
E (MP2020), eV per atom: -5.866
Excess energy over the best structure of this formula in the dataset, meV per atom: 0.0



(2)
LiMn4O8 after structural relaxation, computed with PBE with a Hubbard U.

a b c (Å): 5.863 5.863 5.830
angles (deg): 117.57 117.57 59.91
Fractional positions:
Li: 0.000 0.000 0.000
Mn: 0.000 0.500 0.000
Mn: 0.500 0.000 0.000
Mn: 0.500 0.500 0.000
Mn: 0.500 0.500 0.500
O: 0.238 0.238 0.200
O: 0.254 0.699 0.224
O: 0.274 0.274 0.800
O: 0.301 0.746 0.776
O: 0.699 0.254 0.224
O: 0.726 0.726 0.200
O: 0.746 0.301 0.776
O: 0.762 0.762 0.800

Summary:
E_tot, Ry per atom: -0.514
Formation energy from the elements, eV per atom: -1.914
E (MP2020), eV per atom: -7.925
Excess energy over the best structure of this formula in the dataset, meV per atom: 13.1



(3)
Na7VW6O38 after structural relaxation, computed with PBE with a Hubbard U.

a b c (Å): 7.999 10.837 10.966
angles (deg): 62.94 75.96 87.80
Fractional positions:
Na: 0.000 0.000 0.000
Na: 0.015 0.124 0.214
Na: 0.220 0.324 0.668
Na: 0.362 0.755 0.852
Na: 0.414 0.621 0.345
Na: 0.453 0.988 0.323
Na: 0.856 0.547 0.085
V: 0.708 0.412 0.589
W: 0.073 0.344 0.408
W: 0.483 0.147 0.885
W: 0.771 0.335 0.910
W: 0.832 0.086 0.691
W: 0.950 0.661 0.318
W: 0.999 0.599 0.625
O: 0.006 0.418 0.787
O: 0.055 0.710 0.873
O: 0.065 0.193 0.597
O: 0.098 0.249 0.309
O: 0.177 0.427 0.007
O: 0.179 0.729 0.237
O: 0.188 0.938 0.533
O: 0.220 0.837 0.011
O: 0.228 0.616 0.552
O: 0.234 0.960 0.218
O: 0.257 0.153 0.888
O: 0.273 0.893 0.627
O: 0.286 0.413 0.381
O: 0.301 0.492 0.005
O: 0.419 0.837 0.599
O: 0.474 0.996 0.055
O: 0.502 0.335 0.677
O: 0.513 0.223 0.313
O: 0.524 0.278 0.952
O: 0.575 0.054 0.771
O: 0.584 0.830 0.254
O: 0.609 0.707 0.055
O: 0.623 0.751 0.927
O: 0.674 0.213 0.316
O: 0.692 0.555 0.432
O: 0.725 0.087 0.367
O: 0.729 0.451 0.987
O: 0.741 0.496 0.700
O: 0.760 0.225 0.787
O: 0.798 0.286 0.519
O: 0.830 0.998 0.589
O: 0.848 0.188 0.041
O: 0.852 0.785 0.184
O: 0.906 0.961 0.839
O: 0.923 0.730 0.455
O: 0.963 0.705 0.715
O: 0.982 0.482 0.507
O: 0.985 0.510 0.264

Summary:
E_tot, Ry per atom: -0.435
Formation energy from the elements, eV per atom: -1.000
E (MP2020), eV per atom: -6.464



(4)
Ba2CaMnFe2F14 after structural relaxation, computed with PBE with a Hubbard U.

a b c (Å): 7.501 7.501 15.276
angles (deg): 91.89 91.89 42.87
Fractional positions:
Ba: 0.144 0.240 0.119
Ba: 0.240 0.144 0.619
Ba: 0.760 0.856 0.381
Ba: 0.856 0.760 0.881
Ca: 0.439 0.561 0.250
Ca: 0.561 0.439 0.750
Mn: 0.500 0.500 0.000
Mn: 0.500 0.500 0.500
Fe: 0.111 0.126 0.377
Fe: 0.126 0.111 0.877
Fe: 0.874 0.889 0.123
Fe: 0.889 0.874 0.623
F: 0.038 0.636 0.220
F: 0.075 0.904 0.341
F: 0.092 0.744 0.515
F: 0.096 0.925 0.159
F: 0.169 0.580 0.697
F: 0.171 0.577 0.049
F: 0.193 0.305 0.418
F: 0.256 0.908 0.985
F: 0.305 0.193 0.918
F: 0.358 0.520 0.876
F: 0.364 0.962 0.280
F: 0.420 0.831 0.803
F: 0.423 0.829 0.451
F: 0.480 0.642 0.624
F: 0.520 0.358 0.376
F: 0.577 0.171 0.549
F: 0.580 0.169 0.197
F: 0.636 0.038 0.720
F: 0.642 0.480 0.124
F: 0.695 0.807 0.082
F: 0.744 0.092 0.015
F: 0.807 0.695 0.582
F: 0.829 0.423 0.951
F: 0.831 0.420 0.303
F: 0.904 0.075 0.841
F: 0.908 0.256 0.485
F: 0.925 0.096 0.659
F: 0.962 0.364 0.780

Summary:
E_tot, Ry per atom: -0.420
Formation energy from the elements, eV per atom: -3.412
E (MP2020), eV per atom: -6.349